Entry 1:
Below is an optimized crystal structure of ThGe2O2, with properties calculated at the GGA-PBE level.

As for the space group: I4_1/amd, No. 141. The formation energy is -1.269 eV per atom. The density is 4.20 g/cm3.

The structure in POSCAR format:
```
ThGe2O2
1.0
0.200 6.875 7.065
-8.501 4.183 -2.729
0.817 -9.636 1.923
O Ge Th
8 8 4
direct
0.681 0.981 0.700 O
0.069 0.269 0.800 O
0.019 0.718 0.700 O
0.468 0.269 0.200 O
0.731 0.532 0.800 O
0.282 0.981 0.300 O
0.731 0.931 0.200 O
0.019 0.319 0.300 O
0.618 0.335 0.717 Ge
0.100 0.382 0.717 Ge
0.650 0.868 0.783 Ge
0.085 0.868 0.217 Ge
0.132 0.915 0.783 Ge
0.132 0.350 0.217 Ge
0.665 0.382 0.283 Ge
0.618 0.900 0.283 Ge
0.875 0.125 0.750 Th
0.875 0.625 0.750 Th
0.875 0.125 0.250 Th
0.375 0.125 0.250 Th
```

Entry 2:
Below is an optimized crystal structure of ThGeO4, with properties calculated at the GGA-PBE level.

As for the space group: I4_1/a, No. 88. The formation energy is -3.233 eV per atom. The density is 7.83 g/cm3. Its energy above the most stable polymorph in this dataset is 23.5 meV per atom.

The structure in POSCAR format:
```
ThGeO4
1.0
-2.596 2.596 5.806
2.596 -2.596 5.806
2.596 2.596 -5.806
O Th Ge
8 2 2
direct
0.822 0.915 0.395 O
0.573 0.178 0.094 O
0.177 0.072 0.406 O
0.928 0.335 0.105 O
0.229 0.823 0.895 O
0.521 0.427 0.605 O
0.085 0.479 0.906 O
0.665 0.771 0.594 O
0.500 0.500 0.000 Th
0.250 0.750 0.500 Th
0.750 0.250 0.500 Ge
0.000 0.000 0.000 Ge
```

Entry 3:
Below is an optimized crystal structure of TiGe2O6, with properties calculated at the GGA-PBE level.

As for the space group: P2_1/c, No. 14. The formation energy is -2.524 eV per atom. The density is 3.94 g/cm3.

The structure in POSCAR format:
```
TiGe2O6
1.0
-1.437 -8.858 1.097
2.775 -1.041 -4.766
9.491 -1.201 2.738
Ge O Ti
8 24 4
direct
0.336 0.818 0.459 Ge
0.667 0.845 0.956 Ge
0.833 0.345 0.956 Ge
0.167 0.655 0.044 Ge
0.164 0.318 0.459 Ge
0.664 0.182 0.541 Ge
0.333 0.155 0.044 Ge
0.836 0.682 0.541 Ge
0.481 0.149 0.609 O
0.753 0.901 0.612 O
0.817 0.769 0.355 O
0.722 0.152 0.886 O
0.247 0.099 0.388 O
0.019 0.649 0.609 O
0.253 0.599 0.388 O
0.188 0.740 0.859 O
0.519 0.851 0.391 O
0.013 0.337 0.887 O
0.513 0.163 0.113 O
0.183 0.231 0.645 O
0.278 0.848 0.114 O
0.981 0.351 0.391 O
0.987 0.663 0.113 O
0.778 0.652 0.886 O
0.747 0.401 0.612 O
0.222 0.348 0.114 O
0.312 0.240 0.859 O
0.812 0.260 0.141 O
0.688 0.760 0.141 O
0.683 0.269 0.355 O
0.317 0.731 0.645 O
0.487 0.837 0.887 O
0.143 0.489 0.750 Ti
0.357 0.989 0.750 Ti
0.857 0.511 0.250 Ti
0.643 0.011 0.250 Ti
```

Entry 4:
Below is an optimized crystal structure of TiGeO3, with properties calculated at the GGA-PBE level.

As for the space group: R-3, No. 148. The formation energy is -2.683 eV per atom. The density is 3.93 g/cm3.

The structure in POSCAR format:
```
TiGeO3
1.0
-3.604 -5.627 2.345
0.750 -7.039 0.223
0.727 -5.086 4.874
Ge Ti O
2 2 6
direct
0.394 0.394 0.394 Ge
0.606 0.606 0.606 Ge
0.837 0.837 0.837 Ti
0.163 0.163 0.163 Ti
0.787 0.444 0.102 O
0.213 0.556 0.898 O
0.444 0.102 0.787 O
0.898 0.213 0.556 O
0.102 0.787 0.444 O
0.556 0.898 0.213 O
```

Entry 5:
Below is an optimized crystal structure of TiGe2O6, with properties calculated at the GGA-PBE level.

As for the space group: C2/c, No. 15. The formation energy is -2.524 eV per atom. The density is 3.98 g/cm3.

The structure in POSCAR format:
```
TiGe2O6
1.0
0.514 -6.396 -2.145
5.788 -1.369 3.225
-1.641 -3.003 4.423
O Ge Ti
12 4 2
direct
0.097 0.631 0.714 O
0.903 0.369 0.286 O
0.369 0.903 0.786 O
0.385 0.346 0.500 O
0.960 0.824 0.116 O
0.040 0.176 0.884 O
0.631 0.097 0.214 O
0.346 0.385 0.000 O
0.615 0.654 0.500 O
0.654 0.615 0.000 O
0.824 0.960 0.616 O
0.176 0.040 0.384 O
0.620 0.791 0.727 Ge
0.380 0.209 0.273 Ge
0.791 0.620 0.227 Ge
0.209 0.380 0.773 Ge
0.107 0.893 0.750 Ti
0.893 0.107 0.250 Ti
```

Entry 6:
Below is an optimized crystal structure of TiTl2Ge3O9, with properties calculated at the GGA-PBE level.

As for the space group: P6_3/m, No. 176. The formation energy is -2.180 eV per atom. The density is 5.93 g/cm3.

The structure in POSCAR format:
```
TiTl2Ge3O9
1.0
3.551 -6.151 0.000
3.551 6.151 0.000
0.000 0.000 10.485
O Ti Ge Tl
18 2 6 4
direct
0.008 0.233 0.893 O
0.233 0.225 0.107 O
0.992 0.767 0.107 O
0.586 0.522 0.250 O
0.936 0.414 0.250 O
0.775 0.008 0.107 O
0.767 0.775 0.607 O
0.225 0.992 0.607 O
0.992 0.767 0.393 O
0.522 0.936 0.750 O
0.478 0.064 0.250 O
0.233 0.225 0.393 O
0.064 0.586 0.750 O
0.414 0.478 0.750 O
0.008 0.233 0.607 O
0.775 0.008 0.393 O
0.225 0.992 0.893 O
0.767 0.775 0.893 O
0.000 0.000 0.500 Ti
0.000 0.000 0.000 Ti
0.633 0.758 0.750 Ge
0.758 0.125 0.250 Ge
0.875 0.633 0.250 Ge
0.125 0.367 0.750 Ge
0.242 0.875 0.750 Ge
0.367 0.242 0.250 Ge
0.333 0.667 0.443 Tl
0.667 0.333 0.943 Tl
0.333 0.667 0.057 Tl
0.667 0.333 0.557 Tl
```

Entry 7:
Below is an optimized crystal structure of TiZnGe2O6, with properties calculated at the GGA-PBE level.

As for the space group: P2_1/c, No. 14. The formation energy is -2.304 eV per atom. The density is 4.33 g/cm3. Its energy above the most stable polymorph in this dataset is 0.0 meV per atom.

The structure in POSCAR format:
```
TiZnGe2O6
1.0
-6.918 -1.755 -4.659
1.948 -4.874 -1.057
-4.617 -6.367 9.253
Zn Ge O Ti
4 8 24 4
direct
0.049 0.306 0.754 Zn
0.951 0.694 0.246 Zn
0.451 0.806 0.754 Zn
0.549 0.194 0.246 Zn
0.135 0.754 0.918 Ge
0.865 0.246 0.082 Ge
0.653 0.730 0.467 Ge
0.347 0.270 0.533 Ge
0.635 0.746 0.082 Ge
0.153 0.770 0.533 Ge
0.365 0.254 0.918 Ge
0.847 0.230 0.467 Ge
0.962 0.784 0.579 O
0.004 0.934 0.794 O
0.538 0.284 0.579 O
0.161 0.518 0.225 O
0.504 0.566 0.206 O
0.462 0.716 0.421 O
0.209 0.451 0.599 O
0.339 0.018 0.225 O
0.038 0.216 0.421 O
0.791 0.549 0.401 O
0.186 0.460 0.852 O
0.314 0.960 0.852 O
0.839 0.482 0.775 O
0.686 0.040 0.148 O
0.841 0.210 0.614 O
0.159 0.790 0.386 O
0.291 0.951 0.599 O
0.341 0.290 0.386 O
0.996 0.066 0.206 O
0.661 0.982 0.775 O
0.659 0.710 0.614 O
0.709 0.049 0.401 O
0.496 0.434 0.794 O
0.814 0.540 0.148 O
0.844 0.828 0.709 Ti
0.344 0.672 0.291 Ti
0.156 0.172 0.291 Ti
0.656 0.328 0.709 Ti
```

Entry 8:
Below is an optimized crystal structure of TiZnGe2O6, with properties calculated at the GGA-PBE level.

As for the space group: C2/c, No. 15. The formation energy is -2.233 eV per atom. The density is 5.04 g/cm3. Its energy above the most stable polymorph in this dataset is 71.6 meV per atom.

The structure in POSCAR format:
```
TiZnGe2O6
1.0
-2.231 -6.558 0.509
4.307 -2.450 4.867
-2.963 0.391 4.077
O Ge Zn Ti
12 4 2 2
direct
0.818 0.956 0.101 O
0.844 0.346 0.887 O
0.654 0.156 0.613 O
0.044 0.182 0.399 O
0.346 0.844 0.387 O
0.182 0.044 0.899 O
0.692 0.603 0.345 O
0.156 0.654 0.113 O
0.956 0.818 0.601 O
0.603 0.692 0.845 O
0.397 0.308 0.155 O
0.308 0.397 0.655 O
0.587 0.838 0.129 Ge
0.838 0.587 0.629 Ge
0.162 0.413 0.371 Ge
0.413 0.162 0.871 Ge
0.659 0.341 0.250 Zn
0.341 0.659 0.750 Zn
0.102 0.898 0.250 Ti
0.898 0.102 0.750 Ti
```

Entry 9:
Below is an optimized crystal structure of Tm2Ge2O7, with properties calculated at the GGA-PBE level.

As for the space group: P4_12_12, No. 92. The formation energy is -3.086 eV per atom. The density is 6.91 g/cm3. For the maximum piezoelectric response, the calculation gives 0.105 C/m2.

The structure in POSCAR format:
```
Tm2Ge2O7
1.0
-1.352 4.531 4.886
-6.613 -1.529 -0.412
1.500 -8.799 8.576
O Tm Ge
28 8 8
direct
0.143 0.679 0.456 O
0.420 0.465 0.628 O
0.920 0.035 0.122 O
0.080 0.965 0.622 O
0.821 0.643 0.706 O
0.321 0.857 0.044 O
0.338 0.066 0.429 O
0.934 0.662 0.071 O
0.066 0.338 0.571 O
0.662 0.934 0.929 O
0.465 0.420 0.372 O
0.304 0.304 0.000 O
0.162 0.566 0.821 O
0.535 0.580 0.872 O
0.965 0.080 0.378 O
0.857 0.321 0.956 O
0.580 0.535 0.128 O
0.035 0.920 0.878 O
0.838 0.434 0.321 O
0.434 0.838 0.679 O
0.566 0.162 0.179 O
0.696 0.696 0.500 O
0.643 0.821 0.294 O
0.179 0.357 0.206 O
0.196 0.804 0.250 O
0.804 0.196 0.750 O
0.357 0.179 0.794 O
0.679 0.143 0.544 O
0.126 0.645 0.635 Tm
0.855 0.626 0.885 Tm
0.645 0.126 0.365 Tm
0.626 0.855 0.115 Tm
0.374 0.145 0.615 Tm
0.145 0.374 0.385 Tm
0.874 0.355 0.135 Tm
0.355 0.874 0.865 Tm
0.350 0.400 0.868 Ge
0.150 0.900 0.382 Ge
0.100 0.850 0.118 Ge
0.900 0.150 0.618 Ge
0.850 0.100 0.882 Ge
0.400 0.350 0.132 Ge
0.650 0.600 0.368 Ge
0.600 0.650 0.632 Ge
```

Entry 10:
Below is an optimized crystal structure of TmGeO3, with properties calculated at the GGA-PBE level.

As for the space group: Pm-3m, No. 221. The formation energy is -2.308 eV per atom. The density is 8.19 g/cm3.

The structure in POSCAR format:
```
TmGeO3
1.0
-2.674 -1.711 2.243
1.252 -3.489 -1.168
2.528 -0.081 2.952
O Ge Tm
3 1 1
direct
0.500 0.000 0.500 O
0.000 0.500 0.500 O
0.500 0.500 0.000 O
0.500 0.500 0.500 Ge
0.000 0.000 0.000 Tm
```

Entry 11:
Below is an optimized crystal structure of UGeO2, with properties calculated at the GGA-PBE level.

As for the space group: I4_1/a, No. 88. The formation energy is -2.054 eV per atom. The density is 8.59 g/cm3.

The structure in POSCAR format:
```
UGeO2
1.0
6.892 -2.140 -0.750
-1.411 -6.474 2.957
-3.812 2.457 -5.664
U O Ge
4 8 4
direct
0.875 0.625 0.250 U
0.375 0.625 0.250 U
0.375 0.125 0.750 U
0.375 0.625 0.750 U
0.193 0.859 0.720 O
0.609 0.389 0.166 O
0.223 0.443 0.834 O
0.557 0.391 0.780 O
0.611 0.777 0.220 O
0.139 0.473 0.280 O
0.141 0.861 0.334 O
0.527 0.807 0.666 O
0.875 0.625 0.750 Ge
0.875 0.125 0.750 Ge
0.875 0.125 0.250 Ge
0.375 0.125 0.250 Ge
```

Entry 12:
Below is an optimized crystal structure of U2GeO10, with properties calculated at the GGA-PBE level.

As for the space group: Fddd, No. 70. The formation energy is -2.309 eV per atom. The density is 4.93 g/cm3.

The structure in POSCAR format:
```
U2GeO10
1.0
-2.506 -10.396 4.004
-6.940 -5.264 6.231
-3.556 -4.126 -4.615
Ge O U
2 20 4
direct
0.250 0.250 0.250 Ge
0.000 0.000 0.000 Ge
0.435 0.904 0.733 O
0.517 0.321 0.815 O
0.501 0.117 0.171 O
0.321 0.517 0.346 O
0.133 0.749 0.039 O
0.929 0.733 0.904 O
0.815 0.346 0.517 O
0.535 0.535 0.965 O
0.171 0.211 0.501 O
0.117 0.501 0.211 O
0.965 0.965 0.535 O
0.733 0.929 0.435 O
0.285 0.285 0.715 O
0.079 0.039 0.749 O
0.749 0.133 0.079 O
0.346 0.815 0.321 O
0.211 0.171 0.117 O
0.715 0.715 0.285 O
0.904 0.435 0.929 O
0.039 0.079 0.133 O
0.419 0.419 0.081 U
0.169 0.169 0.831 U
0.831 0.831 0.169 U
0.081 0.081 0.419 U
```

Entry 13:
Below is an optimized crystal structure of Y4GeO10, with properties calculated at the GGA-PBE level.

As for the space group: P1, No. 1. The formation energy is -2.918 eV per atom. The density is 4.40 g/cm3.

The structure in POSCAR format:
```
Y4GeO10
1.0
-2.617 -4.385 -2.559
1.372 -1.430 6.165
-4.701 4.631 1.967
Y O Ge
4 10 1
direct
0.853 0.717 0.859 Y
0.449 0.065 0.737 Y
0.552 0.950 0.261 Y
0.127 0.272 0.144 Y
0.111 0.718 0.652 O
0.519 0.586 0.233 O
0.152 0.638 0.162 O
0.251 0.040 0.984 O
0.419 0.427 0.758 O
0.933 0.271 0.395 O
0.652 0.872 0.597 O
0.355 0.131 0.402 O
0.734 0.964 0.013 O
0.894 0.345 0.802 O
0.095 0.441 0.642 Ge
```

Entry 14:
Below is an optimized crystal structure of Y2GeO5, with properties calculated at the GGA-PBE level.

As for the space group: C2/c, No. 15. The formation energy is -3.346 eV per atom. The density is 4.70 g/cm3. Its energy above the most stable polymorph in this dataset is 0.0 meV per atom.

The structure in POSCAR format:
```
Y2GeO5
1.0
-3.902 -7.083 -1.721
-3.476 -5.577 5.017
-10.555 -0.287 0.731
O Ge Y
20 4 8
direct
0.086 0.680 0.324 O
0.914 0.320 0.676 O
0.886 0.081 0.397 O
0.423 0.409 0.633 O
0.371 0.220 0.445 O
0.649 0.959 0.176 O
0.919 0.114 0.103 O
0.680 0.086 0.824 O
0.114 0.919 0.603 O
0.780 0.629 0.055 O
0.577 0.591 0.367 O
0.629 0.780 0.555 O
0.220 0.371 0.945 O
0.081 0.886 0.897 O
0.409 0.423 0.133 O
0.351 0.041 0.824 O
0.959 0.649 0.676 O
0.591 0.577 0.867 O
0.041 0.351 0.324 O
0.320 0.914 0.176 O
0.221 0.410 0.308 Ge
0.590 0.779 0.192 Ge
0.410 0.221 0.808 Ge
0.779 0.590 0.692 Ge
0.264 0.011 0.662 Y
0.723 0.206 0.966 Y
0.277 0.794 0.034 Y
0.794 0.277 0.534 Y
0.736 0.989 0.338 Y
0.206 0.723 0.466 Y
0.011 0.264 0.162 Y
0.989 0.736 0.838 Y
```